! NaGa2P2O9 (PBE, optimized geometry); values from VASP
&SYSTEM
  ibrav = 0, nat = 56, ntyp = 4
/
ATOMIC_SPECIES
Na 22.99 Na.upf
Ga 69.72 Ga.upf
P 30.97 P.upf
O 16.00 O.upf
ATOMIC_POSITIONS crystal
Na 0.207 0.121 0.479
Na 0.207 0.379 0.979
Na 0.793 0.621 0.021
Na 0.793 0.879 0.521
Ga 0.162 0.733 0.430
Ga 0.162 0.767 0.930
Ga 0.473 0.087 0.121
Ga 0.473 0.413 0.621
Ga 0.527 0.587 0.379
Ga 0.527 0.913 0.879
Ga 0.838 0.233 0.070
Ga 0.838 0.267 0.570
P 0.163 0.047 0.767
P 0.163 0.453 0.267
P 0.331 0.613 0.769
P 0.331 0.887 0.269
P 0.669 0.113 0.731
P 0.669 0.387 0.231
P 0.837 0.547 0.733
P 0.837 0.953 0.233
O 0.039 0.146 0.628
O 0.039 0.354 0.128
O 0.058 0.586 0.276
O 0.058 0.914 0.776
O 0.178 0.678 0.616
O 0.178 0.822 0.116
O 0.248 0.136 0.922
O 0.248 0.364 0.422
O 0.273 0.610 0.893
O 0.273 0.890 0.393
O 0.297 0.509 0.226
O 0.297 0.991 0.726
O 0.374 0.045 0.248
O 0.374 0.455 0.748
O 0.408 0.610 0.511
O 0.408 0.890 0.011
O 0.494 0.709 0.828
O 0.494 0.791 0.328
O 0.506 0.209 0.672
O 0.506 0.291 0.172
O 0.592 0.110 0.989
O 0.592 0.390 0.489
O 0.626 0.545 0.252
O 0.626 0.955 0.752
O 0.703 0.009 0.274
O 0.703 0.491 0.774
O 0.727 0.110 0.607
O 0.727 0.390 0.107
O 0.752 0.636 0.578
O 0.752 0.864 0.078
O 0.822 0.178 0.884
O 0.822 0.322 0.384
O 0.942 0.086 0.224
O 0.942 0.414 0.724
O 0.961 0.646 0.872
O 0.961 0.854 0.372
CELL_PARAMETERS angstrom
9.067 0.000 0.000
0.000 9.123 0.000
-5.101 0.000 8.523
! ΔH_f (0 K)	-2421	meV per atom
! symmetry	P2_1/c, No. 14
! mass density	3.471	g/cm3
! electronic total energy	-6.461	eV/atom
! volume	12.59	Å³/atom



! Na2Ga2P2SO12 (PBE, optimized geometry); values from VASP
&SYSTEM
  ibrav = 0, nat = 114, ntyp = 5
/
ATOMIC_SPECIES
Na 22.99 Na.upf
Ga 69.72 Ga.upf
P 30.97 P.upf
S 32.06 S.upf
O 16.00 O.upf
ATOMIC_POSITIONS crystal
Na 0.998 0.632 0.251
Na 0.368 0.002 0.751
Na 0.664 0.965 0.584
Na 0.035 0.336 0.084
Na 0.331 0.298 0.918
Na 0.702 0.669 0.418
Na 0.011 0.000 0.500
Na 0.000 0.989 0.000
Na 0.677 0.333 0.833
Na 0.667 0.323 0.333
Na 0.344 0.667 0.167
Na 0.333 0.656 0.667
Ga 0.989 0.998 0.351
Ga 0.002 0.011 0.851
Ga 0.002 0.999 0.649
Ga 0.001 0.998 0.149
Ga 0.656 0.331 0.684
Ga 0.669 0.344 0.184
Ga 0.669 0.332 0.982
Ga 0.668 0.331 0.482
Ga 0.323 0.664 0.018
Ga 0.336 0.677 0.518
Ga 0.336 0.665 0.316
Ga 0.335 0.664 0.816
P 0.705 0.710 0.250
P 0.999 0.288 0.250
P 0.290 0.295 0.750
P 0.712 0.001 0.750
P 0.372 0.044 0.583
P 0.666 0.622 0.583
P 0.956 0.628 0.083
P 0.378 0.334 0.083
P 0.038 0.377 0.916
P 0.333 0.955 0.916
P 0.623 0.962 0.416
P 0.045 0.667 0.416
S 0.294 0.005 0.250
S 0.995 0.706 0.750
S 0.961 0.338 0.584
S 0.662 0.039 0.084
S 0.627 0.671 0.917
S 0.329 0.373 0.417
O 0.214 0.035 0.306
O 0.825 0.784 0.307
O 0.969 0.174 0.306
O 0.216 0.175 0.807
O 0.965 0.786 0.806
O 0.826 0.031 0.806
O 0.790 0.966 0.691
O 0.173 0.207 0.694
O 0.035 0.821 0.696
O 0.793 0.827 0.194
O 0.034 0.210 0.191
O 0.179 0.965 0.196
O 0.880 0.368 0.639
O 0.492 0.117 0.641
O 0.636 0.507 0.640
O 0.883 0.508 0.141
O 0.632 0.120 0.139
O 0.493 0.364 0.140
O 0.456 0.299 0.024
O 0.840 0.541 0.027
O 0.702 0.154 0.029
O 0.459 0.160 0.527
O 0.701 0.544 0.524
O 0.846 0.298 0.529
O 0.547 0.702 0.972
O 0.159 0.450 0.974
O 0.302 0.841 0.973
O 0.550 0.841 0.474
O 0.298 0.453 0.472
O 0.159 0.698 0.473
O 0.123 0.633 0.357
O 0.506 0.874 0.360
O 0.369 0.488 0.362
O 0.126 0.494 0.860
O 0.367 0.877 0.857
O 0.512 0.631 0.862
O 0.023 0.836 0.410
O 0.811 0.976 0.411
O 0.170 0.193 0.410
O 0.024 0.189 0.911
O 0.164 0.977 0.910
O 0.807 0.830 0.910
O 0.974 0.172 0.589
O 0.185 0.024 0.591
O 0.832 0.814 0.589
O 0.976 0.815 0.091
O 0.828 0.026 0.089
O 0.186 0.168 0.089
O 0.689 0.169 0.743
O 0.477 0.309 0.744
O 0.837 0.527 0.743
O 0.691 0.523 0.244
O 0.831 0.311 0.243
O 0.473 0.163 0.243
O 0.641 0.505 0.922
O 0.852 0.358 0.924
O 0.499 0.148 0.923
O 0.642 0.148 0.424
O 0.495 0.359 0.422
O 0.852 0.501 0.423
O 0.356 0.503 0.077
O 0.144 0.642 0.078
O 0.503 0.860 0.077
O 0.358 0.856 0.578
O 0.497 0.644 0.577
O 0.140 0.497 0.577
O 0.308 0.838 0.256
O 0.518 0.691 0.257
O 0.165 0.481 0.256
O 0.309 0.482 0.757
O 0.162 0.692 0.756
O 0.519 0.835 0.756
CELL_PARAMETERS angstrom
8.604 0.009 0.034
-4.294 7.456 -0.034
0.086 -0.049 21.995
! ΔH_f (0 K)	-2379	meV per atom
! mass density	3.326	g/cm3
! electronic total energy	-6.316	eV/atom
! volume	12.39	Å³/atom



! Na2ScGaP2SO12 (PBE, optimized geometry); values from VASP
&SYSTEM
  ibrav = 0, nat = 114, ntyp = 6
/
ATOMIC_SPECIES
Na 22.99 Na.upf
Sc 44.96 Sc.upf
Ga 69.72 Ga.upf
P 30.97 P.upf
S 32.06 S.upf
O 16.00 O.upf
ATOMIC_POSITIONS crystal
Na 0.000 0.000 0.000
Na 0.002 0.648 0.748
Na 0.297 0.690 0.583
Na 0.313 0.352 0.164
Na 0.331 0.333 0.668
Na 0.336 0.985 0.415
Na 0.628 0.023 0.248
Na 0.645 0.687 0.834
Na 0.663 0.667 0.333
Na 0.669 0.319 0.081
Na 0.966 0.356 0.915
Na 0.979 0.018 0.502
Sc 0.332 0.350 0.522
Sc 0.335 0.360 0.816
Sc 0.338 0.356 0.314
Sc 0.666 0.684 0.183
Sc 0.668 0.694 0.484
Sc 0.997 0.019 0.353
Ga 0.010 0.017 0.651
Ga 0.332 0.353 0.016
Ga 0.663 0.684 0.686
Ga 0.681 0.684 0.985
Ga 0.997 0.033 0.148
Ga 0.998 0.018 0.851
P 0.039 0.652 0.918
P 0.288 0.020 0.249
P 0.292 0.736 0.750
P 0.333 0.647 0.420
P 0.372 0.978 0.588
P 0.627 0.060 0.417
P 0.628 0.355 0.920
P 0.666 0.983 0.083
P 0.710 0.312 0.248
P 0.955 0.694 0.590
P 0.968 0.389 0.081
P 0.993 0.310 0.751
S 0.002 0.729 0.247
S 0.037 0.356 0.417
S 0.337 0.054 0.918
S 0.368 0.690 0.081
S 0.674 0.388 0.587
S 0.711 0.018 0.750
O 0.017 0.197 0.696
O 0.019 0.836 0.910
O 0.023 0.814 0.193
O 0.024 0.193 0.414
O 0.114 0.537 0.861
O 0.119 0.377 0.363
O 0.143 0.533 0.584
O 0.145 0.331 0.471
O 0.151 0.371 0.073
O 0.156 0.552 0.252
O 0.157 0.333 0.756
O 0.157 0.559 0.972
O 0.172 0.042 0.913
O 0.173 0.835 0.415
O 0.176 0.039 0.194
O 0.177 0.809 0.693
O 0.187 0.993 0.593
O 0.190 0.846 0.089
O 0.201 0.851 0.805
O 0.211 0.996 0.308
O 0.301 0.170 0.972
O 0.308 0.552 0.756
O 0.309 0.186 0.252
O 0.310 0.565 0.478
O 0.350 0.536 0.364
O 0.352 0.161 0.582
O 0.355 0.527 0.077
O 0.363 0.135 0.864
O 0.447 0.868 0.530
O 0.452 0.716 0.028
O 0.477 0.716 0.744
O 0.477 0.860 0.244
O 0.479 0.657 0.135
O 0.490 0.882 0.641
O 0.492 0.878 0.926
O 0.499 0.667 0.422
O 0.503 0.172 0.075
O 0.511 0.375 0.582
O 0.514 0.380 0.865
O 0.517 0.139 0.360
O 0.526 0.327 0.253
O 0.530 0.173 0.472
O 0.534 0.174 0.756
O 0.546 0.325 0.978
O 0.636 0.907 0.141
O 0.640 0.502 0.640
O 0.641 0.877 0.422
O 0.650 0.520 0.926
O 0.691 0.494 0.243
O 0.692 0.864 0.029
O 0.696 0.856 0.746
O 0.698 0.469 0.532
O 0.789 0.198 0.191
O 0.793 0.044 0.695
O 0.810 0.041 0.413
O 0.817 0.191 0.913
O 0.820 0.220 0.303
O 0.822 0.987 0.804
O 0.829 0.499 0.745
O 0.830 0.211 0.593
O 0.833 0.004 0.088
O 0.839 0.716 0.244
O 0.845 0.715 0.534
O 0.847 0.468 0.025
O 0.855 0.666 0.925
O 0.860 0.510 0.422
O 0.871 0.665 0.647
O 0.878 0.504 0.136
O 0.966 0.230 0.810
O 0.975 0.834 0.302
O 0.975 0.861 0.594
O 0.981 0.206 0.088
CELL_PARAMETERS angstrom
8.769 0.000 0.000
4.381 7.611 0.000
0.114 0.058 22.382
! ΔH_f (0 K)	-2647	meV per atom
! symmetry	P1, No. 1
! mass density	2.979	g/cm3
! electronic total energy	-6.757	eV/atom
! volume	13.10	Å³/atom



! NaScGaPS2O12 (PBE, optimized geometry); values from VASP
&SYSTEM
  ibrav = 0, nat = 108, ntyp = 6
/
ATOMIC_SPECIES
Na 22.99 Na.upf
Sc 44.96 Sc.upf
Ga 69.72 Ga.upf
P 30.97 P.upf
S 32.06 S.upf
O 16.00 O.upf
ATOMIC_POSITIONS crystal
Na 0.000 0.000 0.000
Na 0.001 0.018 0.500
Na 0.320 0.335 0.666
Na 0.321 0.360 0.164
Na 0.673 0.670 0.836
Na 0.675 0.672 0.331
Sc 0.308 0.352 0.818
Sc 0.309 0.356 0.311
Sc 0.658 0.680 0.481
Sc 0.659 0.679 0.686
Sc 0.989 0.010 0.351
Sc 0.999 0.019 0.647
Ga 0.006 0.994 0.146
Ga 0.317 0.372 0.018
Ga 0.318 0.334 0.517
Ga 0.658 0.682 0.984
Ga 0.661 0.677 0.181
Ga 0.989 0.013 0.853
P 0.021 0.649 0.919
P 0.033 0.343 0.418
P 0.368 0.978 0.582
P 0.375 0.679 0.083
P 0.979 0.726 0.245
P 0.987 0.301 0.754
S 0.281 0.724 0.752
S 0.287 0.005 0.246
S 0.324 0.632 0.419
S 0.325 0.052 0.921
S 0.612 0.062 0.417
S 0.619 0.346 0.919
S 0.647 0.385 0.582
S 0.655 0.976 0.083
S 0.702 0.013 0.752
S 0.705 0.305 0.245
S 0.952 0.384 0.083
S 0.961 0.673 0.582
O 0.003 0.836 0.910
O 0.011 0.193 0.698
O 0.012 0.811 0.190
O 0.015 0.175 0.412
O 0.102 0.533 0.864
O 0.121 0.368 0.362
O 0.134 0.362 0.076
O 0.141 0.567 0.974
O 0.142 0.514 0.577
O 0.144 0.317 0.474
O 0.147 0.538 0.251
O 0.157 0.318 0.758
O 0.161 0.810 0.414
O 0.163 0.033 0.914
O 0.173 0.038 0.193
O 0.175 0.803 0.699
O 0.179 0.000 0.586
O 0.185 0.848 0.088
O 0.197 0.830 0.806
O 0.205 0.982 0.300
O 0.300 0.165 0.973
O 0.304 0.542 0.757
O 0.305 0.545 0.472
O 0.313 0.162 0.251
O 0.347 0.528 0.365
O 0.352 0.165 0.578
O 0.354 0.510 0.077
O 0.355 0.130 0.867
O 0.457 0.866 0.527
O 0.459 0.709 0.027
O 0.459 0.709 0.747
O 0.464 0.841 0.240
O 0.478 0.888 0.638
O 0.482 0.374 0.575
O 0.483 0.653 0.422
O 0.486 0.871 0.926
O 0.488 0.648 0.139
O 0.492 0.153 0.075
O 0.508 0.147 0.364
O 0.512 0.371 0.866
O 0.525 0.176 0.758
O 0.526 0.323 0.251
O 0.531 0.168 0.471
O 0.537 0.314 0.972
O 0.626 0.490 0.635
O 0.626 0.895 0.136
O 0.629 0.882 0.421
O 0.636 0.509 0.925
O 0.678 0.467 0.529
O 0.682 0.853 0.748
O 0.686 0.486 0.240
O 0.691 0.861 0.030
O 0.787 0.032 0.698
O 0.793 0.040 0.414
O 0.793 0.194 0.193
O 0.800 0.186 0.914
O 0.804 0.203 0.587
O 0.810 0.226 0.300
O 0.810 0.707 0.238
O 0.811 0.985 0.806
O 0.815 0.999 0.089
O 0.820 0.488 0.748
O 0.835 0.666 0.929
O 0.842 0.465 0.030
O 0.847 0.512 0.422
O 0.853 0.696 0.529
O 0.875 0.496 0.136
O 0.879 0.645 0.635
O 0.952 0.835 0.302
O 0.965 0.210 0.809
O 0.967 0.206 0.091
O 0.976 0.835 0.588
CELL_PARAMETERS angstrom
8.631 0.000 0.000
4.299 7.485 0.000
0.040 0.089 22.738
! ΔH_f (0 K)	-2477	meV per atom
! symmetry	P1, No. 1
! mass density	2.881	g/cm3
! electronic total energy	-6.671	eV/atom
! volume	13.60	Å³/atom



Q: The highest mass density belongs to which entry?
A: NaGa2P2O9



Q: The lowest mass density belongs to which entry?
A: NaScGaPS2O12



Q: The highest mass density belongs to which entry?
A: NaGa2P2O9



Q: Look up the mass density of the second one.
A: 3.326 g/cm3